(1)
The following is a GGA-PBE calculation of an optimized crystal structure of MgUO4, from the Materials Project database.

Cell lengths 3.483, 4.711, 4.711 Å; angles 90.71, 90.00, 90.00 degrees
Positions (direct):
Mg1 0.000 0.500 0.500
U1 0.500 0.000 0.000
O1 0.000 0.191 0.809
O2 0.000 0.809 0.191
O3 0.500 0.298 0.298
O4 0.500 0.702 0.702

Results
VASP energy (eV per atom): -8.45
ρ (Mg/m³): 7.01
Formation energy from the elements (eV per atom): -3.46

(2)
The following is a GGA-PBE calculation of an optimized crystal structure of Mg6VCr, from the Materials Project database.

Cell lengths 4.952, 6.258, 10.680 Å; angles 90.00, 90.00, 90.00 degrees
Positions (direct):
Mg1 0.500 0.249 0.582
Mg2 0.500 0.751 0.582
Mg3 0.000 0.251 0.412
Mg4 0.000 0.749 0.412
Mg5 0.000 0.000 0.672
Mg6 0.000 0.000 0.172
Mg7 0.500 0.749 0.082
Mg8 0.500 0.251 0.082
Mg9 0.000 0.751 0.912
Mg10 0.000 0.249 0.912
Mg11 0.000 0.500 0.172
Mg12 0.000 0.500 0.672
V1 0.500 0.000 0.833
V2 0.500 0.500 0.333
Cr1 0.500 0.000 0.334
Cr2 0.500 0.500 0.834

Results
VASP energy (eV per atom): -3.23
ρ (Mg/m³): 2.50
Formation energy from the elements (eV per atom): 0.32

(3)
The following is a GGA-PBE calculation of an optimized crystal structure of AlP3O9, from the Materials Project database.

Cell lengths 15.241, 6.158, 8.288 Å; angles 74.89, 90.00, 90.00 degrees
Positions (direct):
Al1 0.638 0.385 0.377
Al2 0.138 0.615 0.123
Al3 0.362 0.615 0.623
Al4 0.862 0.385 0.877
P1 0.837 0.299 0.517
P2 0.337 0.701 0.983
P3 0.163 0.701 0.483
P4 0.663 0.299 0.017
P5 0.544 0.355 0.718
P6 0.044 0.645 0.782
P7 0.456 0.645 0.282
P8 0.956 0.355 0.218
P9 0.613 0.915 0.290
P10 0.113 0.085 0.210
P11 0.387 0.085 0.710
P12 0.887 0.915 0.790
O1 0.659 0.694 0.355
O2 0.159 0.306 0.145
O3 0.341 0.306 0.645
O4 0.841 0.694 0.855
O5 0.615 0.077 0.398
O6 0.115 0.923 0.102
O7 0.385 0.923 0.602
O8 0.885 0.077 0.898
O9 0.758 0.325 0.408
O10 0.258 0.675 0.092
O11 0.242 0.675 0.592
O12 0.742 0.325 0.908
O13 0.621 0.335 0.611
O14 0.121 0.665 0.889
O15 0.379 0.665 0.389
O16 0.879 0.335 0.111
O17 0.846 0.435 0.642
O18 0.346 0.565 0.858
O19 0.154 0.565 0.358
O20 0.654 0.435 0.142
O21 0.485 0.555 0.661
O22 0.985 0.445 0.839
O23 0.515 0.445 0.339
O24 0.015 0.555 0.161
O25 0.924 0.350 0.403
O26 0.424 0.650 0.097
O27 0.076 0.650 0.597
O28 0.576 0.350 0.903
O29 0.488 0.125 0.754
O30 0.988 0.875 0.746
O31 0.512 0.875 0.246
O32 0.012 0.125 0.254
O33 0.847 0.034 0.608
O34 0.347 0.966 0.892
O35 0.153 0.966 0.392
O36 0.653 0.034 0.108

Results
VASP energy (eV per atom): -7.33
ρ (Mg/m³): 2.33
Formation energy from the elements (eV per atom): -2.84
ΔE to the lowest computed polymorph (meV per atom): 0

(4)
The following is a GGA-PBE calculation of an optimized crystal structure of UTe3O8, from the Materials Project database.

Cell lengths 11.417, 11.417, 11.417 Å; angles 90.00, 90.00, 90.00 degrees
Positions (direct):
U1 0.500 0.500 0.000
U2 0.500 0.000 0.500
U3 0.000 0.500 0.500
U4 0.000 0.000 0.000
U5 0.000 0.000 0.500
U6 0.000 0.500 0.000
U7 0.500 0.000 0.000
U8 0.500 0.500 0.500
Te1 0.453 0.759 0.283
Te2 0.547 0.259 0.217
Te3 0.047 0.241 0.783
Te4 0.953 0.741 0.717
Te5 0.283 0.453 0.759
Te6 0.217 0.547 0.259
Te7 0.783 0.047 0.241
Te8 0.717 0.953 0.741
Te9 0.759 0.283 0.453
Te10 0.259 0.217 0.547
Te11 0.241 0.783 0.047
Te12 0.741 0.717 0.953
Te13 0.547 0.241 0.717
Te14 0.453 0.741 0.783
Te15 0.953 0.759 0.217
Te16 0.047 0.259 0.283
Te17 0.717 0.547 0.241
Te18 0.783 0.453 0.741
Te19 0.217 0.953 0.759
Te20 0.283 0.047 0.259
Te21 0.241 0.717 0.547
Te22 0.741 0.783 0.453
Te23 0.759 0.217 0.953
Te24 0.259 0.283 0.047
O1 0.399 0.676 0.419
O2 0.601 0.176 0.081
O3 0.101 0.324 0.919
O4 0.899 0.824 0.581
O5 0.419 0.399 0.676
O6 0.081 0.601 0.176
O7 0.919 0.101 0.324
O8 0.581 0.899 0.824
O9 0.676 0.419 0.399
O10 0.176 0.081 0.601
O11 0.324 0.919 0.101
O12 0.824 0.581 0.899
O13 0.601 0.324 0.581
O14 0.399 0.824 0.919
O15 0.899 0.676 0.081
O16 0.101 0.176 0.419
O17 0.581 0.601 0.324
O18 0.919 0.399 0.824
O19 0.081 0.899 0.676
O20 0.419 0.101 0.176
O21 0.324 0.581 0.601
O22 0.824 0.919 0.399
O23 0.676 0.081 0.899
O24 0.176 0.419 0.101
O25 0.090 0.841 0.114
O26 0.910 0.341 0.386
O27 0.410 0.159 0.614
O28 0.590 0.659 0.886
O29 0.114 0.090 0.841
O30 0.386 0.910 0.341
O31 0.614 0.410 0.159
O32 0.886 0.590 0.659
O33 0.841 0.114 0.090
O34 0.341 0.386 0.910
O35 0.159 0.614 0.410
O36 0.659 0.886 0.590
O37 0.910 0.159 0.886
O38 0.090 0.659 0.614
O39 0.590 0.841 0.386
O40 0.410 0.341 0.114
O41 0.886 0.910 0.159
O42 0.614 0.090 0.659
O43 0.386 0.590 0.841
O44 0.114 0.410 0.341
O45 0.159 0.886 0.910
O46 0.659 0.614 0.090
O47 0.841 0.386 0.590
O48 0.341 0.114 0.410
O49 0.406 0.594 0.094
O50 0.594 0.094 0.406
O51 0.094 0.406 0.594
O52 0.906 0.906 0.906
O53 0.594 0.406 0.906
O54 0.406 0.906 0.594
O55 0.906 0.594 0.406
O56 0.094 0.094 0.094
O57 0.907 0.093 0.593
O58 0.093 0.593 0.907
O59 0.593 0.907 0.093
O60 0.407 0.407 0.407
O61 0.093 0.907 0.407
O62 0.907 0.407 0.093
O63 0.407 0.093 0.907
O64 0.593 0.593 0.593

Results
VASP energy (eV per atom): -6.55
ρ (Mg/m³): 6.68
Formation energy from the elements (eV per atom): -1.99

(5)
The following is a GGA-PBE calculation of an optimized crystal structure of Li2CoCl4, from the Materials Project database.

Cell lengths 7.161, 7.161, 7.161 Å; angles 118.64, 117.74, 93.16 degrees
Positions (direct):
Li1 0.500 0.500 0.000
Li2 0.000 0.500 0.500
Li3 0.500 0.000 0.000
Li4 0.500 0.500 0.500
Co1 0.000 0.000 0.000
Co2 0.500 0.000 0.500
Cl1 0.270 0.759 0.511
Cl2 0.748 0.759 0.989
Cl3 0.752 0.767 0.515
Cl4 0.752 0.238 0.985
Cl5 0.730 0.241 0.489
Cl6 0.252 0.241 0.011
Cl7 0.248 0.233 0.485
Cl8 0.248 0.762 0.015

Results
VASP energy (eV per atom): -3.75
ρ (Mg/m³): 2.68
Formation energy from the elements (eV per atom): -1.49
ΔE to the lowest computed polymorph (meV per atom): 139

(6)
The following is a GGA-PBE calculation of an optimized crystal structure of SiO2, from the Materials Project database.

Cell lengths 14.628, 14.628, 14.628 Å; angles 124.67, 124.67, 82.08 degrees
Positions (direct):
Si1 0.000 0.001 0.225
Si2 0.999 0.225 0.999
Si3 0.226 0.000 0.001
Si4 0.775 0.774 0.775
Si5 0.999 0.000 0.775
Si6 0.226 0.225 0.225
Si7 0.775 0.001 0.001
Si8 0.000 0.774 0.999
Si9 0.323 0.051 0.501
Si10 0.949 0.450 0.272
Si11 0.178 0.677 0.728
Si12 0.550 0.822 0.499
Si13 0.949 0.677 0.499
Si14 0.178 0.450 0.501
Si15 0.550 0.051 0.728
Si16 0.323 0.822 0.272
Si17 0.104 0.694 0.178
Si18 0.306 0.485 0.411
Si19 0.074 0.896 0.589
Si20 0.515 0.926 0.822
Si21 0.306 0.896 0.822
Si22 0.074 0.485 0.178
Si23 0.515 0.694 0.589
Si24 0.104 0.926 0.411
Si25 0.797 0.797 0.594
Si26 0.203 0.797 0.000
Si27 0.797 0.203 0.000
Si28 0.203 0.203 0.406
O1 0.019 0.984 0.336
O2 0.016 0.352 0.035
O3 0.316 0.981 0.965
O4 0.648 0.684 0.664
O5 0.016 0.981 0.664
O6 0.316 0.352 0.336
O7 0.648 0.984 0.965
O8 0.019 0.684 0.035
O9 0.069 0.130 0.307
O10 0.870 0.177 0.939
O11 0.238 0.931 0.061
O12 0.823 0.762 0.693
O13 0.870 0.931 0.693
O14 0.238 0.177 0.307
O15 0.823 0.130 0.061
O16 0.069 0.762 0.939
O17 0.766 0.907 0.859
O18 0.093 0.952 0.859
O19 0.093 0.234 0.141
O20 0.048 0.907 0.141
O21 0.863 0.979 0.116
O22 0.021 0.137 0.884
O23 0.254 0.137 0.116
O24 0.863 0.746 0.884
O25 0.500 0.793 0.707
O26 0.207 0.914 0.707
O27 0.207 0.500 0.293
O28 0.086 0.793 0.293
O29 0.239 0.000 0.511
O30 0.000 0.512 0.239
O31 0.273 0.761 0.761
O32 0.488 0.727 0.489
O33 0.000 0.761 0.489
O34 0.273 0.512 0.511
O35 0.488 0.000 0.761
O36 0.239 0.727 0.239
O37 0.429 0.929 0.858
O38 0.071 0.929 0.500
O39 0.429 0.571 0.500
O40 0.071 0.571 0.142
O41 0.288 0.162 0.503
O42 0.838 0.341 0.126
O43 0.214 0.712 0.874
O44 0.659 0.786 0.497
O45 0.838 0.712 0.497
O46 0.214 0.341 0.503
O47 0.659 0.162 0.874
O48 0.288 0.786 0.126
O49 0.593 0.950 0.643
O50 0.050 0.693 0.643
O51 0.050 0.407 0.357
O52 0.307 0.950 0.357
O53 0.456 0.091 0.634
O54 0.909 0.544 0.366
O55 0.178 0.544 0.634
O56 0.456 0.822 0.366

Results
VASP energy (eV per atom): -7.89
ρ (Mg/m³): 1.37
Formation energy from the elements (eV per atom): -3.24

(7)
The following is a GGA-PBE calculation of an optimized crystal structure of Na2Be2O3, from the Materials Project database.

Cell lengths 5.312, 4.943, 5.361 Å; angles 66.92, 90.00, 90.00 degrees
Positions (direct):
Na1 0.372 0.810 0.928
Na2 0.128 0.810 0.428
Na3 0.872 0.190 0.572
Na4 0.628 0.190 0.072
Be1 0.603 0.671 0.569
Be2 0.103 0.329 0.931
Be3 0.897 0.671 0.069
Be4 0.397 0.329 0.431
O1 0.500 0.000 0.500
O2 0.000 0.000 0.000
O3 0.854 0.590 0.791
O4 0.354 0.410 0.709
O5 0.646 0.590 0.291
O6 0.146 0.410 0.209

Results
VASP energy (eV per atom): -5.68
ρ (Mg/m³): 2.87
Formation energy from the elements (eV per atom): -2.41
ΔE to the lowest computed polymorph (meV per atom): 0

(8)
The following is a GGA-PBE calculation of an optimized crystal structure of CsSm2Cl7, from the Materials Project database.

Cell lengths 7.183, 14.128, 13.018 Å; angles 90.00, 90.00, 90.00 degrees
Positions (direct):
Cs1 0.750 0.959 0.196
Cs2 0.250 0.041 0.804
Cs3 0.250 0.541 0.696
Cs4 0.750 0.459 0.304
Sm1 0.750 0.763 0.540
Sm2 0.250 0.237 0.460
Sm3 0.250 0.737 0.040
Sm4 0.750 0.263 0.960
Sm5 0.750 0.751 0.844
Sm6 0.250 0.249 0.156
Sm7 0.250 0.749 0.344
Sm8 0.750 0.251 0.656
Cl1 0.988 0.823 0.694
Cl2 0.012 0.177 0.306
Cl3 0.012 0.677 0.194
Cl4 0.488 0.177 0.306
Cl5 0.988 0.323 0.806
Cl6 0.512 0.823 0.694
Cl7 0.512 0.323 0.806
Cl8 0.488 0.677 0.194
Cl9 0.991 0.874 0.424
Cl10 0.009 0.126 0.576
Cl11 0.009 0.626 0.924
Cl12 0.491 0.126 0.576
Cl13 0.991 0.374 0.076
Cl14 0.509 0.874 0.424
Cl15 0.509 0.374 0.076
Cl16 0.491 0.626 0.924
Cl17 0.992 0.863 0.960
Cl18 0.008 0.137 0.040
Cl19 0.008 0.637 0.460
Cl20 0.492 0.137 0.040
Cl21 0.992 0.363 0.540
Cl22 0.508 0.863 0.960
Cl23 0.508 0.363 0.540
Cl24 0.492 0.637 0.460
Cl25 0.750 0.615 0.689
Cl26 0.250 0.385 0.311
Cl27 0.250 0.885 0.189
Cl28 0.750 0.115 0.811

Results
VASP energy (eV per atom): -4.60
ρ (Mg/m³): 3.43
Formation energy from the elements (eV per atom): -2.71

(9)
The following is a GGA-PBE calculation of an optimized crystal structure of CsLaCl4O3, from the Materials Project database.

Cell lengths 8.021, 7.286, 9.438 Å; angles 80.72, 90.00, 90.00 degrees
Positions (direct):
Cs1 0.750 0.408 0.326
Cs2 0.250 0.592 0.674
La1 0.750 0.057 0.883
La2 0.250 0.943 0.117
Cl1 0.495 0.764 0.951
Cl2 0.995 0.236 0.049
Cl3 0.505 0.236 0.049
Cl4 0.005 0.764 0.951
Cl5 0.530 0.198 0.643
Cl6 0.030 0.802 0.357
Cl7 0.470 0.802 0.357
Cl8 0.970 0.198 0.643
O1 0.750 0.048 0.153
O2 0.250 0.952 0.847
O3 0.750 0.957 0.647
O4 0.250 0.043 0.353
O5 0.750 0.366 0.752
O6 0.250 0.634 0.248

Results
VASP energy (eV per atom): -3.95
ρ (Mg/m³): 2.82
Formation energy from the elements (eV per atom): -1.06

(10)
The following is a GGA-PBE calculation of an optimized crystal structure of ZrMnFe, from the Materials Project database.

Cell lengths 4.984, 4.984, 8.058 Å; angles 90.00, 90.00, 120.50 degrees
Positions (direct):
Zr1 0.333 0.667 0.315
Zr2 0.666 0.334 0.188
Zr3 0.666 0.334 0.812
Zr4 0.333 0.667 0.685
Mn1 0.663 0.829 0.000
Mn2 0.171 0.337 0.000
Mn3 0.999 0.001 0.254
Mn4 0.999 0.001 0.746
Fe1 0.831 0.169 0.500
Fe2 0.340 0.170 0.500
Fe3 0.830 0.660 0.500
Fe4 0.168 0.832 0.000

Results
VASP energy (eV per atom): -8.92
ρ (Mg/m³): 7.78
Formation energy from the elements (eV per atom): -0.19
ΔE to the lowest computed polymorph (meV per atom): 29

(11)
The following is a GGA-PBE calculation of an optimized crystal structure of TiZn2O4, from the Materials Project database.

Cell lengths 6.090, 6.090, 6.090 Å; angles 121.28, 120.72, 88.28 degrees
Positions (direct):
Ti1 0.500 0.500 0.000
Ti2 0.000 0.500 0.500
Zn1 0.889 0.139 0.750
Zn2 0.500 0.500 0.500
Zn3 0.500 0.000 0.000
Zn4 0.111 0.861 0.250
O1 0.289 0.275 0.014
O2 0.762 0.275 0.486
O3 0.754 0.281 0.027
O4 0.754 0.727 0.473
O5 0.246 0.273 0.527
O6 0.246 0.719 0.973
O7 0.238 0.725 0.514
O8 0.711 0.725 0.986

Results
VASP energy (eV per atom): -6.40
ρ (Mg/m³): 5.13
Formation energy from the elements (eV per atom): -2.48
ΔE to the lowest computed polymorph (meV per atom): 17